Record 1
Computed, not measured: an optimized crystal structure of SbAsRh at the meta-GGA r2SCAN level of DFT.

Geometry as extended XYZ:
```
12
Lattice="1.7658 3.5531 -4.9595 5.2018 -3.6245 -0.7446 -5.1671 -1.9975 -3.2708" Properties=species:S:1:pos:R:3 pbc="T T T"
Sb 0.0255 0.9406 -4.4335
Sb 3.9313 -2.8703 -1.7062
Sb 1.7749 -3.0095 -4.5414
Sb -2.1308 0.8013 -7.2687
As 1.5466 -0.3194 -2.6326
As 0.2538 -1.7496 -6.3423
As -1.4368 -2.1228 -3.1448
As 3.2373 0.0539 -5.8301
Rh 3.5530 -1.1984 -3.7259
Rh -0.0235 -1.5911 -1.2137
Rh 1.8239 -0.4778 -7.7612
Rh -1.7526 -0.8705 -5.2491
```

## Properties
- calculated density (g/cm3) = 8.4
- formation energy (kcal/mol of atoms) = -13.1



Record 2
Computed, not measured: an optimized crystal structure of KMnSn3O8 at the meta-GGA r2SCAN level of DFT.

Geometry as extended XYZ:
```
26
Lattice="-0.1190 -0.0369 -6.3991 -5.2276 -5.2121 1.4693 -5.1900 5.1068 -1.6670" Properties=species:S:1:pos:R:3 pbc="T T T"
O -3.5617 -0.4699 -4.8354
O -3.5023 -0.4515 -1.6358
O -6.9461 0.2984 -1.7042
O -8.3749 -1.6144 -0.3781
O -5.7804 -1.7414 -3.1927
O -2.1081 1.5863 -3.3011
O -2.1676 1.5676 -6.5007
O -5.7208 -1.7230 0.0069
O -3.7006 -3.1503 -1.6043
O -3.7601 -3.1687 -4.8038
O -4.8060 1.6338 -3.2899
O -7.0057 0.2800 -4.9038
O -8.4344 -1.6329 -3.5777
O -6.8569 2.9656 -1.7142
O -4.8655 1.6154 -6.4893
O -6.9164 2.9472 -4.9136
Mn -7.0395 -1.6605 -4.9122
Mn -6.9801 -1.6420 -1.7128
K -10.3081 -0.1624 -1.8340
K -10.3665 -0.1810 -5.0334
Sn -6.8307 1.5439 -3.3105
Sn -3.8016 -1.7513 -3.2155
Sn -6.8902 1.5256 -6.5100
Sn -3.4338 1.5923 -1.6877
Sn -3.7421 -1.7329 -0.0159
Sn -3.4932 1.5738 -4.8872
```

## Properties
- calculated density (g/cm3) = 5.6
- formation energy (kcal/mol of atoms) = -44.4



Record 3
Computed, not measured: an optimized crystal structure of BaCuGe at the meta-GGA r2SCAN level of DFT.

Geometry as extended XYZ:
```
3
Lattice="2.1172 -3.6670 0.0000 2.1172 3.6670 0.0000 0.0000 0.0000 5.0455" Properties=species:S:1:pos:R:3 pbc="T T T"
Ba 2.1172 1.2223 0.0000
Ge 0.0000 0.0000 2.5228
Cu 2.1172 -1.2223 2.5228
```

## Properties
- calculated density (g/cm3) = 5.8
- formation energy (kcal/mol of atoms) = -8.6



Record 4
Computed, not measured: an optimized crystal structure of Ba2NF at the meta-GGA r2SCAN level of DFT.

Geometry as extended XYZ:
```
4
Lattice="-2.0108 -3.4828 0.0000 -4.0216 0.0000 0.0000 -2.0108 -1.1609 -6.6751" Properties=species:S:1:pos:R:3 pbc="T T T"
F 0.0000 0.0000 0.0000
Ba -2.0108 -1.1609 -1.8218
Ba -6.0325 -3.4828 -4.8533
N -4.0216 -2.3219 -3.3376
```

## Properties
- calculated density (g/cm3) = 5.5
- formation energy (kcal/mol of atoms) = -43.5



Record 5
Computed, not measured: an optimized crystal structure of SrTcN3 at the meta-GGA r2SCAN level of DFT.

Geometry as extended XYZ:
```
20
Lattice="1.4295 -4.5789 3.7492 -5.8473 -4.6140 -1.0723 3.3237 -2.2609 -6.3617" Properties=species:S:1:pos:R:3 pbc="T T T"
N -4.1934 -4.3351 -0.2822
N 0.3784 -7.7439 -3.6520
N 3.0993 -7.1187 -3.4027
N 0.8216 -2.2999 -2.1155
N -2.0292 -6.2283 -1.2179
N -4.0332 -8.1353 -0.0412
N -1.1965 -8.1964 1.0041
N -1.4724 -3.7099 -0.0328
N -1.9156 -9.1539 -1.5693
N 0.1024 -3.2574 -4.6890
N 0.9351 -5.2255 -2.4669
N 2.9391 -3.3185 -3.6436
Tc 1.2652 -3.5112 -3.2266
Tc 1.5389 -7.0022 -2.6512
Tc -2.6329 -4.4516 -1.0336
Tc -2.3592 -7.9426 -0.4583
Sr -1.2171 -9.6707 -3.9318
Sr 0.1230 -1.7831 0.2470
Sr 0.2451 -5.6873 0.3755
Sr -1.3391 -5.7665 -4.0604
```

## Properties
- calculated density (g/cm3) = 4.6
- formation energy (kcal/mol of atoms) = -13.5



Record 6
Computed, not measured: an optimized crystal structure of HoCoC at the meta-GGA r2SCAN level of DFT.

Geometry as extended XYZ:
```
6
Lattice="-3.1682 0.2741 1.7229 -1.5689 -2.0093 -2.5654 1.4354 -5.6359 3.5362" Properties=species:S:1:pos:R:3 pbc="T T T"
Co -1.6509 -3.6855 1.3468
Co -2.3686 -0.8676 -0.4213
Ho 0.3588 -1.4090 0.8841
Ho 1.0765 -4.2269 2.6522
C -0.7845 -1.0046 -1.2827
C -0.8664 -2.6809 2.6296
```

## Properties
- calculated density (g/cm3) = 8.8
- formation energy (kcal/mol of atoms) = -8.8



Record 7
Computed, not measured: an optimized crystal structure of PaBe13 at the meta-GGA r2SCAN level of DFT.

Geometry as extended XYZ:
```
28
Lattice="-5.1082 -5.1082 0.0000 -5.1082 0.0000 -5.1082 0.0000 -5.1082 -5.1082" Properties=species:S:1:pos:R:3 pbc="T T T"
Be -6.9045 -6.2814 -5.1082
Be -5.1082 -5.1082 -5.1082
Be -5.1082 -3.3119 -6.2814
Be -5.1082 -6.9045 -6.2814
Be -1.7963 -5.1082 -6.2814
Be -6.2814 -5.1082 -6.9045
Be -5.1082 -3.9350 -8.4201
Be -5.1082 -6.2814 -8.4201
Be -3.3119 -6.2814 -5.1082
Be -5.1082 -6.9045 -3.9350
Be -8.4201 -5.1082 -3.9350
Be -3.9350 -5.1082 -3.3119
Be -6.2814 -5.1082 -3.3119
Be -5.1082 -3.3119 -3.9350
Be -5.1082 -6.2814 -1.7963
Be -6.2814 -8.4201 -5.1082
Be -3.9350 -8.4201 -5.1082
Be -8.4201 -5.1082 -6.2814
Be -5.1082 -3.9350 -1.7963
Be -6.9045 -3.9350 -5.1082
Be -3.3119 -3.9350 -5.1082
Be -3.9350 -5.1082 -6.9045
Be 0.0000 0.0000 0.0000
Be -3.9350 -1.7963 -5.1082
Be -6.2814 -1.7963 -5.1082
Be -1.7963 -5.1082 -3.9350
Pa -7.6623 -7.6623 -7.6623
Pa -2.5541 -2.5541 -2.5541
```

## Properties
- calculated density (g/cm3) = 4.3
- formation energy (kcal/mol of atoms) = -3.1



Record 8
Computed, not measured: an optimized crystal structure of KCd4As3 at the meta-GGA r2SCAN level of DFT.

Geometry as extended XYZ:
```
8
Lattice="12.1602 -2.2497 0.0080 12.1602 2.2497 0.0080 11.7415 0.0000 3.8819" Properties=species:S:1:pos:R:3 pbc="T T T"
Cd 10.8710 0.0000 1.1750
Cd 3.2128 0.0000 0.3473
Cd 32.8492 0.0000 3.5506
Cd 25.1910 0.0000 2.7229
As 0.0000 0.0000 0.0000
As 27.8385 0.0000 3.0090
As 8.2235 0.0000 0.8889
K 18.0310 0.0000 1.9489
```

## Properties
- calculated density (g/cm3) = 5.6
- formation energy (kcal/mol of atoms) = -8.0



Record 9
Computed, not measured: an optimized crystal structure of DyMgGa at the meta-GGA r2SCAN level of DFT.

Geometry as extended XYZ:
```
9
Lattice="3.6160 -6.2631 0.0000 3.6160 6.2631 0.0000 0.0000 0.0000 4.4172" Properties=species:S:1:pos:R:3 pbc="T T T"
Dy 3.0748 0.0000 0.0000
Dy 2.0786 3.6003 0.0000
Dy 2.0786 -3.6003 0.0000
Mg 0.8851 -1.5330 2.2086
Mg 5.4619 0.0000 2.2086
Mg 0.8851 1.5330 2.2086
Ga 3.6160 2.0877 2.2086
Ga 0.0000 0.0000 0.0000
Ga 3.6160 -2.0877 2.2086
```

## Properties
- calculated density (g/cm3) = 6.4
- formation energy (kcal/mol of atoms) = -13.1



Record 10
Computed, not measured: an optimized crystal structure of VCrO3 at the meta-GGA r2SCAN level of DFT.

Geometry as extended XYZ:
```
20
Lattice="5.0182 0.0012 0.0022 -2.5065 1.4494 4.5644 2.5096 -7.2369 4.5623" Properties=species:S:1:pos:R:3 pbc="T T T"
O 1.5405 0.0011 3.4089
O 4.2527 -1.3198 3.4144
O 0.7666 -4.4650 5.6851
O 1.7561 -3.0055 3.4279
O 4.0334 -4.3670 3.4362
O 3.2809 0.1388 1.1565
O 0.7567 -1.5646 1.1378
O 1.7620 -5.9091 7.9894
O 4.2342 -4.2102 8.0093
O 3.2797 -2.7774 5.6771
O 0.9941 -1.4528 5.6943
O 3.4801 -5.7878 5.6944
Cr 2.5211 -1.4339 4.3449
Cr -0.0016 0.0069 2.0658
Cr 2.5056 -4.3482 4.7625
Cr 5.0050 -5.8023 4.3627
V 0.0014 -2.9040 6.5998
V 5.0289 -2.9164 2.5244
V 0.0072 0.0118 4.8070
V 5.0085 -5.7577 7.0898
```

## Properties
- calculated density (g/cm3) = 5.0
- formation energy (kcal/mol of atoms) = -58.0



Record 11
Computed, not measured: an optimized crystal structure of Mo2N at the meta-GGA r2SCAN level of DFT.

Geometry as extended XYZ:
```
3
Lattice="-3.2360 -1.3463 -3.9376 -4.4818 -2.3171 -1.5275 -4.7380 0.4566 -2.2652" Properties=species:S:1:pos:R:3 pbc="T T T"
N 0.0000 0.0000 0.0000
Mo -9.4304 -2.4279 -5.8527
Mo -3.0254 -0.7789 -1.8776
```

## Properties
- calculated density (g/cm3) = 9.5
- formation energy (kcal/mol of atoms) = -7.4



Record 12
Computed, not measured: an optimized crystal structure of VOF at the meta-GGA r2SCAN level of DFT.

Geometry as extended XYZ:
```
12
Lattice="3.9597 -0.5288 2.7893 -2.1815 2.7509 3.6184 -1.4771 -4.6803 1.2096" Properties=species:S:1:pos:R:3 pbc="T T T"
V -0.1437 0.2664 4.2211
V 0.4447 -2.7246 3.3962
V -0.7641 -0.8805 1.2065
V 1.0652 -1.5777 6.4108
F -0.0372 -3.0630 5.4065
F -1.1701 2.0359 3.7259
F 0.3383 0.6047 2.2108
F 1.4711 -4.4942 3.8914
O 0.1246 0.1997 6.2163
O 0.1764 -2.6579 1.4010
O 1.2411 -1.1792 4.4252
O -0.9401 -1.2790 3.1921
```

## Properties
- calculated density (g/cm3) = 4.7
- formation energy (kcal/mol of atoms) = -67.2



| no. | total magnetic moment (μB per formula unit) |
| --- | --- |
| 1 | 0.00 |
| 2 | 4.00 |
| 3 | 0.00 |
| 4 | 0.00 |
| 5 | 0.00 |
| 6 | 1.00 |
| 7 | 0.00 |
| 8 | 0.00 |
| 9 | 0.00 |
| 10 | 5.00 |
| 11 | 0.00 |
| 12 | 0.00 |